Density functional theory data (GGA+U) for a geometry-optimized Li5Mn2CoO8 structure.

Results
The MP2020-corrected energy is -107.0 eV per cell. The formation energy is -2026 meV/atom. As for the total magnetic moment: 8.00 μB/f.u.

Cell and atoms, written as POSCAR:
```
Li5Mn2CoO8
1.0
5.130 -2.857 0.000
5.130 2.857 0.000
-1.899 0.000 4.770
Li Mn Co O
5 2 1 8
Direct
0.000 0.000 0.000
0.000 0.500 0.000
0.249 0.249 0.495
0.500 0.000 0.000
0.751 0.751 0.505
0.249 0.751 0.500
0.751 0.249 0.500
0.500 0.500 0.000
0.117 0.117 0.718
0.157 0.632 0.745
0.368 0.843 0.255
0.381 0.381 0.274
0.619 0.619 0.726
0.632 0.157 0.745
0.843 0.368 0.255
0.883 0.883 0.282
```

Density functional theory data (GGA+U) for a geometry-optimized Li4Mn3CoO8 structure.

Results
The MP2020-corrected energy is -114.0 eV per cell. The formation energy is -2013 meV/atom. As for the total magnetic moment: 14.00 μB/f.u.

Cell and atoms, written as POSCAR:
```
Li4Mn3CoO8
1.0
3.094 0.000 0.000
0.430 5.051 0.000
0.983 2.136 9.736
Li Mn Co O
4 3 1 8
Direct
0.001 0.251 0.251
0.499 0.747 0.253
0.501 0.253 0.747
0.999 0.749 0.749
0.000 0.000 0.000
0.500 0.000 0.500
0.500 0.500 0.000
0.000 0.500 0.500
0.021 0.142 0.614
0.024 0.635 0.116
0.476 0.865 0.883
0.478 0.368 0.387
0.522 0.632 0.613
0.524 0.135 0.117
0.976 0.365 0.884
0.979 0.858 0.386
```

Question: total magnetic moment of number 1 (Li5Mn2CoO8)?
Answer: 8.00 μB/f.u.

Repeat the second record exactly.
Density functional theory data (GGA+U) for a geometry-optimized Li4Mn3CoO8 structure.

Results
The MP2020-corrected energy is -114.0 eV per cell. The formation energy is -2013 meV/atom. As for the total magnetic moment: 14.00 μB/f.u.

Cell and atoms, written as POSCAR:
```
Li4Mn3CoO8
1.0
3.094 0.000 0.000
0.430 5.051 0.000
0.983 2.136 9.736
Li Mn Co O
4 3 1 8
Direct
0.001 0.251 0.251
0.499 0.747 0.253
0.501 0.253 0.747
0.999 0.749 0.749
0.000 0.000 0.000
0.500 0.000 0.500
0.500 0.500 0.000
0.000 0.500 0.500
0.021 0.142 0.614
0.024 0.635 0.116
0.476 0.865 0.883
0.478 0.368 0.387
0.522 0.632 0.613
0.524 0.135 0.117
0.976 0.365 0.884
0.979 0.858 0.386
```

Question: The highest total magnetic moment belongs to which entry?
Answer: Li4Mn3CoO8

Question: The highest total magnetic moment belongs to which entry?
Answer: Li4Mn3CoO8